Record 1
Here is a relaxed Hf9GeMo4 crystal from the Materials Project database. Energies are from meta-GGA r2SCAN.

Cell lengths 8.6462, 8.6462, 8.6567 Å; angles 90.00, 90.00, 120.00 degrees
Closest atoms and distances in Å follow each position.
Positions (direct):
Hf1 0.0782 0.5391 0.2500  2 Mo 2.91, 1 Ge 3.08, 8 Hf 3.22-3.25
Hf2 0.1968 0.3936 0.5439  1 Ge 2.71, 2 Mo 2.86-2.97
Hf3 0.1968 0.3936 0.9561  1 Ge 2.71, 2 Mo 2.86-2.97
Hf4 0.1968 0.8032 0.5439  1 Ge 2.71, 2 Mo 2.86-2.97
Hf5 0.1968 0.8032 0.9561  1 Ge 2.71, 2 Mo 2.86-2.97
Hf6 0.3936 0.1968 0.0439  1 Ge 2.71, 2 Mo 2.86-2.97
Hf7 0.3936 0.1968 0.4561  1 Ge 2.71, 2 Mo 2.86-2.97
Hf8 0.4609 0.5391 0.2500  2 Mo 2.91, 1 Ge 3.08, 8 Hf 3.22-3.25
Hf9 0.4609 0.9218 0.2500  2 Mo 2.91, 1 Ge 3.08, 8 Hf 3.22-3.25
Hf10 0.5391 0.0782 0.7500  2 Mo 2.91, 1 Ge 3.08, 8 Hf 3.22-3.25
Hf11 0.5391 0.4609 0.7500  2 Mo 2.91, 1 Ge 3.08, 8 Hf 3.22-3.25
Hf12 0.6064 0.8032 0.5439  1 Ge 2.71, 2 Mo 2.86-2.97
Hf13 0.6064 0.8032 0.9561  1 Ge 2.71, 2 Mo 2.86-2.97
Hf14 0.8032 0.1968 0.0439  1 Ge 2.71, 2 Mo 2.86-2.97
Hf15 0.8032 0.1968 0.4561  1 Ge 2.71, 2 Mo 2.86-2.97
Hf16 0.8032 0.6064 0.0439  1 Ge 2.71, 2 Mo 2.86-2.97
Hf17 0.8032 0.6064 0.4561  1 Ge 2.71, 2 Mo 2.86-2.97
Hf18 0.9218 0.4609 0.7500  2 Mo 2.91, 1 Ge 3.08, 8 Hf 3.22-3.25
Ge1 0.3333 0.6667 0.7500  6 Hf 2.71
Ge2 0.6667 0.3333 0.2500  6 Hf 2.71
Mo1 0.0000 0.0000 0.0000  6 Mo 2.72, 6 Hf 2.97
Mo2 0.0000 0.0000 0.5000  6 Mo 2.72, 6 Hf 2.97
Mo3 0.1099 0.2197 0.2500  4 Mo 2.72-2.85, 4 Hf 2.86-2.91
Mo4 0.1099 0.8901 0.2500  4 Mo 2.72-2.85, 4 Hf 2.86-2.91
Mo5 0.2197 0.1099 0.7500  4 Mo 2.72-2.85, 4 Hf 2.86-2.91
Mo6 0.7803 0.8901 0.2500  4 Mo 2.72-2.85, 4 Hf 2.86-2.91
Mo7 0.8901 0.1099 0.7500  4 Mo 2.72-2.85, 4 Hf 2.86-2.91
Mo8 0.8901 0.7803 0.7500  4 Mo 2.72-2.85, 4 Hf 2.86-2.91

Results
total DFT energy (no corrections): -37.705 eV per atom

***

Record 2
Here is a relaxed HfGeMo crystal from the Materials Project database. Energies are from meta-GGA r2SCAN.

Cell lengths 6.9761, 3.5263, 8.3087 Å; angles 90.00, 90.00, 90.00 degrees
Closest atoms and distances in Å follow each position.
Positions (direct):
Hf1 0.0490 0.2500 0.1665  5 Ge 2.75-2.90, 2 Mo 2.97
Hf2 0.4510 0.7500 0.6665  5 Ge 2.75-2.90, 2 Mo 2.97
Hf3 0.5490 0.2500 0.3335  5 Ge 2.75-2.90, 2 Mo 2.97
Hf4 0.9510 0.7500 0.8335  5 Ge 2.75-2.90, 2 Mo 2.97
Ge1 0.2483 0.7500 0.3615  4 Mo 2.56-2.73, 4 Hf 2.75-2.77
Ge2 0.2517 0.2500 0.8615  4 Mo 2.56-2.73, 4 Hf 2.75-2.77
Ge3 0.7483 0.7500 0.1385  4 Mo 2.56-2.73, 4 Hf 2.75-2.77
Ge4 0.7517 0.2500 0.6385  4 Mo 2.56-2.73, 4 Hf 2.75-2.77
Mo1 0.1318 0.2500 0.5621  4 Ge 2.56-2.73, 2 Mo 2.75
Mo2 0.3682 0.7500 0.0621  4 Ge 2.56-2.73, 2 Mo 2.75
Mo3 0.6318 0.2500 0.9379  4 Ge 2.56-2.73, 2 Mo 2.75
Mo4 0.8682 0.7500 0.4379  4 Ge 2.56-2.73, 2 Mo 2.75

Results
total DFT energy (no corrections): -28.967 eV per atom

***

Record 3
Here is a relaxed Hf2Nb3Ge4 crystal from the Materials Project database. Energies are from meta-GGA r2SCAN.

Cell lengths 6.8038, 13.2124, 6.9489 Å; angles 90.00, 90.00, 90.00 degrees
Closest atoms and distances in Å follow each position.
Positions (direct):
Hf1 0.0120 0.0910 0.1755  7 Ge 2.76-2.95
Hf2 0.0120 0.4090 0.1755  7 Ge 2.76-2.95
Hf3 0.4880 0.5910 0.6755  7 Ge 2.76-2.95
Hf4 0.4880 0.9090 0.6755  7 Ge 2.76-2.95
Hf5 0.5120 0.0910 0.3245  7 Ge 2.76-2.95
Hf6 0.5120 0.4090 0.3245  7 Ge 2.76-2.95
Hf7 0.9880 0.5910 0.8245  7 Ge 2.76-2.95
Hf8 0.9880 0.9090 0.8245  7 Ge 2.76-2.95
Nb1 0.1584 0.6241 0.3339  6 Ge 2.57-2.77
Nb2 0.1584 0.8759 0.3339  6 Ge 2.57-2.77
Nb3 0.1654 0.2500 0.5064  6 Ge 2.65-2.79
Nb4 0.3346 0.7500 0.0064  6 Ge 2.65-2.79
Nb5 0.3416 0.1241 0.8339  6 Ge 2.57-2.77
Nb6 0.3416 0.3759 0.8339  6 Ge 2.57-2.77
Nb7 0.6584 0.6241 0.1661  6 Ge 2.57-2.77
Nb8 0.6584 0.8759 0.1661  6 Ge 2.57-2.77
Nb9 0.6654 0.2500 0.9936  6 Ge 2.65-2.79
Nb10 0.8346 0.7500 0.4936  6 Ge 2.65-2.79
Nb11 0.8416 0.1241 0.6661  6 Ge 2.57-2.77
Nb12 0.8416 0.3759 0.6661  6 Ge 2.57-2.77
Ge1 0.0397 0.2500 0.8889  1 Ge 2.57, 6 Nb 2.64-2.79
Ge2 0.1842 0.0399 0.5384  4 Nb 2.57-2.79, 3 Hf 2.76-2.86, 1 Ge 2.77
Ge3 0.1842 0.4601 0.5384  4 Nb 2.57-2.79, 3 Hf 2.76-2.86, 1 Ge 2.77
Ge4 0.1930 0.7500 0.6508  1 Ge 2.57, 4 Nb 2.65-2.77, 2 Hf 2.80
Ge5 0.3070 0.2500 0.1508  1 Ge 2.57, 4 Nb 2.65-2.77, 2 Hf 2.80
Ge6 0.3158 0.5399 0.0384  4 Nb 2.57-2.79, 3 Hf 2.76-2.86, 1 Ge 2.77
Ge7 0.3158 0.9601 0.0384  4 Nb 2.57-2.79, 3 Hf 2.76-2.86, 1 Ge 2.77
Ge8 0.4603 0.7500 0.3889  1 Ge 2.57, 6 Nb 2.64-2.79
Ge9 0.5397 0.2500 0.6111  1 Ge 2.57, 6 Nb 2.64-2.79
Ge10 0.6842 0.0399 0.9616  4 Nb 2.57-2.79, 3 Hf 2.76-2.86, 1 Ge 2.77
Ge11 0.6842 0.4601 0.9616  4 Nb 2.57-2.79, 3 Hf 2.76-2.86, 1 Ge 2.77
Ge12 0.6930 0.7500 0.8492  1 Ge 2.57, 4 Nb 2.65-2.77, 2 Hf 2.80
Ge13 0.8070 0.2500 0.3492  1 Ge 2.57, 4 Nb 2.65-2.77, 2 Hf 2.80
Ge14 0.8158 0.5399 0.4616  4 Nb 2.57-2.79, 3 Hf 2.76-2.86, 1 Ge 2.77
Ge15 0.8158 0.9601 0.4616  4 Nb 2.57-2.79, 3 Hf 2.76-2.86, 1 Ge 2.77
Ge16 0.9603 0.7500 0.1111  1 Ge 2.57, 6 Nb 2.64-2.79

Results
total DFT energy (no corrections): -25.133 eV per atom

***

Record 4
Here is a relaxed HfNiGe crystal from the Materials Project database. Energies are from meta-GGA r2SCAN.

Cell lengths 6.4792, 3.8446, 7.2591 Å; angles 90.00, 90.00, 90.00 degrees
Closest atoms and distances in Å follow each position.
Positions (direct):
Hf1 0.0183 0.2500 0.1901  5 Ge 2.71-2.77, 3 Ni 2.81-2.82
Hf2 0.4817 0.7500 0.6901  5 Ge 2.71-2.77, 3 Ni 2.81-2.82
Hf3 0.5183 0.2500 0.3099  5 Ge 2.71-2.77, 3 Ni 2.81-2.82
Hf4 0.9817 0.7500 0.8099  5 Ge 2.71-2.77, 3 Ni 2.81-2.82
Ni1 0.1395 0.2500 0.5623  4 Ge 2.39-2.48
Ni2 0.3605 0.7500 0.0623  4 Ge 2.39-2.48
Ni3 0.6395 0.2500 0.9377  4 Ge 2.39-2.48
Ni4 0.8605 0.7500 0.4377  4 Ge 2.39-2.48
Ge1 0.2349 0.7500 0.3849  4 Ni 2.39-2.48
Ge2 0.2651 0.2500 0.8849  4 Ni 2.39-2.48
Ge3 0.7349 0.7500 0.1151  4 Ni 2.39-2.48
Ge4 0.7651 0.2500 0.6151  4 Ni 2.39-2.48

Results
total DFT energy (no corrections): -24.443 eV per atom

***

Calculated values (Å³ per atom) of calculated volume for the records, taken in order: 20.02 17.03 17.35 15.07.